1.
A relaxed structure of Li4ZnP2S8. Source: Materials Project, functional GGA-PBE.

extended XYZ file:
```
120
Lattice="-0.0094 -9.5621 0.0206 -11.5039 -0.0005 0.0292 0.0006 0.0004 -22.9551" Properties=species:S:1:pos:R:3 pbc="T T T"
S -1.5891 -3.5058 -18.4858
S -9.9009 -3.5594 -10.1660
S -1.3190 -8.2939 -18.8079
S -4.0764 -1.2596 -7.0360
S -1.6184 -3.5387 -12.5968
S -9.7561 -1.3088 -1.2143
S -9.8375 -3.4966 -21.7057
S -10.4087 -8.3776 -21.2525
S -7.4441 -1.2931 -4.4781
S -1.6759 -1.2700 -21.6474
S -1.6054 -3.5193 -7.0194
S -4.5285 -8.2532 -15.5211
S -6.9019 -8.3064 -18.8600
S -4.5628 -6.0215 -13.1158
S -1.2119 -6.1217 -9.8760
S -9.8482 -1.3045 -12.6330
S -4.5252 -6.0684 -7.3414
S -4.1048 -1.3639 -12.6968
S -1.7070 -3.5136 -1.0825
S -7.4538 -1.2410 -16.0342
S -1.2076 -6.0167 -4.1318
S -1.6620 -1.3471 -10.1549
S -7.4665 -1.2524 -10.1750
S -1.2546 -5.9815 -15.5354
S -4.4688 -8.3178 -9.8414
S -10.2797 -8.2591 -15.5001
S -4.1070 -3.4722 -4.5889
S -10.2984 -6.0503 -1.6248
S -4.1923 -3.5391 -21.6500
S -7.3934 -3.4972 -6.9588
S -10.2760 -8.3188 -4.0369
S -1.6515 -1.2554 -4.5914
S -4.5014 -5.9799 -18.7980
S -7.3538 -3.4743 -12.6067
S -9.8969 -3.4444 -4.5629
S -4.4987 -8.3011 -4.0104
S -1.2949 -8.3057 -7.3797
S -6.9756 -8.2821 -7.3718
S -10.3534 -6.0844 -18.8455
S -6.9671 -6.0507 -4.0640
S -10.2356 -8.2375 -9.7378
S -4.1428 -3.5902 -10.2294
S -10.3248 -6.1085 -7.2314
S -4.4604 -8.3158 -21.2654
S -4.1181 -1.2420 -1.1273
S -7.3711 -1.2414 -21.6483
S -1.2132 -8.3128 -13.1322
S -6.9999 -6.0038 -15.5690
S -6.9991 -8.2499 -13.1138
S -7.0087 -8.2919 -1.6346
S -1.2812 -8.2868 -1.7006
S -4.5394 -6.0448 -1.5793
S -6.9119 -6.0962 -9.8295
S -7.4866 -3.5733 -18.4324
S -1.2396 -6.0133 -21.2969
S -10.3173 -5.9994 -13.0939
S -1.6466 -1.1971 -16.0264
S -4.0684 -1.2333 -18.4577
S -9.8459 -3.5390 -16.0078
S -6.8936 -6.0954 -21.3055
S -9.8592 -1.2587 -7.0454
S -4.0312 -3.4871 -16.0654
S -7.3561 -3.5242 -1.1606
S -9.8594 -1.2065 -18.4521
Li -0.0105 -0.0250 -0.1026
Li -8.6477 -4.7949 -2.8586
Li -5.7883 -4.6915 -17.1563
Li -8.6386 -7.1637 -17.1279
Li -2.8649 -4.7864 -20.0585
Li -2.9153 -4.7271 -14.3087
Li -5.8654 -2.4206 -19.9860
Li -2.8783 -0.1519 -2.8666
Li -5.7752 -9.5607 -11.5300
Li -2.8496 -4.8601 -8.6097
Li -5.7339 -0.0061 -17.1365
Li -11.4595 -2.3811 -14.4237
Li -5.7507 -0.0070 -5.6683
Li -8.6496 -9.4815 -20.0695
Li -8.6115 -9.5621 -14.2887
Li -8.5916 -4.7459 -14.2997
Li -0.0182 -9.5354 -11.4246
Li -2.8889 -4.6287 -2.8611
Li -11.4756 -9.5385 -17.1586
Li -0.0102 -4.7911 -17.2059
Li -11.4678 -4.7811 0.0254
Li -5.7838 -4.7743 -5.6910
Li -2.9255 -9.5518 -14.2878
Li -11.4102 -2.3786 -20.0173
Li -2.9444 -7.1526 -5.6302
Li -8.6373 -4.8851 -8.5336
Li -2.9170 -7.1014 -17.0760
Li -5.8008 -0.0101 0.0067
Li -11.4714 -0.0508 -5.7243
Li -8.6635 -4.8742 -20.1066
Li -2.7846 -7.1541 -0.0179
Li -5.7729 -2.4051 -8.5675
P -8.5549 -2.3885 -22.8710
P -2.8269 -2.4191 -5.7441
P -0.0072 -7.1536 -8.5689
P -11.4752 -7.1686 -2.8031
P -8.6406 -2.3518 -5.7862
P -0.0576 -7.1634 -14.3300
P -5.8188 -7.1575 -14.3328
P -2.9501 -2.3903 -22.9161
P -8.6533 -2.3544 -17.2226
P -5.7973 -7.1703 -2.8761
P -5.6719 -7.1391 -20.0083
P -2.7944 -2.4083 -17.2334
P -2.9198 -2.3706 -11.4353
P -0.0524 -7.2083 -20.1116
P -8.6820 -2.4569 -11.4092
P -5.6869 -7.2120 -8.5941
Zn -2.8588 -0.0036 -20.0563
Zn -5.7676 -4.7825 0.0117
Zn -8.6412 -9.5015 -8.5324
Zn -8.6356 -9.5466 -2.8277
Zn -11.4707 -4.8411 -11.4179
Zn -2.8762 -0.0131 -8.6487
Zn -0.0210 -4.7042 -5.7391
Zn -5.7620 -4.8536 -11.4996
```

Output
Calculated formation energy in eV/atom: -1.06
Mass density in Mg/m³: 2.2
M_tot in μB per atom: 0.000

***

2.
A relaxed structure of Li10ZnP4S16. Source: Materials Project, functional GGA-PBE.

extended XYZ file:
```
62
Lattice="7.9120 0.0000 0.0000 0.0000 12.3790 0.0000 0.0000 12.3034 13.0155" Properties=species:S:1:pos:R:3 pbc="T T T"
Li 0.1153 15.3414 5.5760
Li 5.9123 12.3146 4.5532
Li 2.0609 3.1282 2.0242
Li 1.8989 12.2826 10.9282
Li 1.9440 9.2262 2.0081
Li 7.7967 21.4931 12.0838
Li 5.9191 18.4950 11.0426
Li 1.9996 18.4663 11.0609
Li 3.9870 18.3647 7.4583
Li 6.0131 6.1309 4.4204
Li 5.8511 9.2799 8.5320
Li 5.9655 12.3262 10.9053
Li 5.7321 9.1695 2.0521
Li 1.9464 6.1744 4.3975
Li 1.9929 12.3433 4.5348
Li 7.8776 9.2251 5.5075
Li 5.9679 15.3779 8.5158
Li 0.0344 15.3769 12.0153
Li 2.1799 15.3213 8.5599
Li 3.9250 12.2130 0.9505
S 2.2036 8.6029 4.3904
S 1.6477 11.7004 2.1352
S 5.7084 14.7546 10.8982
S 6.1607 11.6616 2.1502
S 2.1979 20.9437 10.8138
S 1.8026 11.6317 8.5600
S 0.1172 14.3373 7.8163
S 6.1094 5.4800 2.0522
S 1.7513 17.8133 8.6580
S 3.9336 11.2947 5.4515
S 2.3041 14.7111 10.9594
S 0.0290 8.2252 7.7819
S 4.0176 2.3358 0.7950
S 3.8366 8.5745 0.6493
S 7.8830 2.0735 1.2741
S 4.0754 14.7262 7.1571
S 3.9784 17.4464 11.9593
S 3.9356 11.3101 11.6914
S 5.6136 20.9296 10.8475
S 3.8944 8.4875 7.3027
S 6.2378 11.6565 8.5933
S 3.9764 5.1584 5.1836
S 7.8625 11.6342 12.2682
S 0.0116 11.6807 5.7254
S 6.2643 17.8521 8.6430
S 0.0494 5.4825 5.7604
S 5.7141 14.7920 4.3060
S 2.2984 14.7779 4.3397
S 5.6078 8.5594 4.4516
S 1.6742 5.5048 2.0855
S 7.9003 17.8325 12.2332
S 7.7948 8.1855 1.3085
Zn 5.8812 3.1350 2.0222
Zn 2.0307 9.2867 8.5300
P 3.9742 15.4834 5.3003
P 0.0646 18.4838 7.7142
P 7.8984 6.1191 1.1921
P 4.0176 15.4490 11.8432
P 3.8944 9.2972 5.3354
P 3.9378 21.6351 11.8081
P 7.8474 12.3321 1.2064
P 0.0135 12.2709 7.6999
```

Output
Calculated formation energy in eV/atom: -1.12
Mass density in Mg/m³: 2.0
M_tot in μB per atom: 0.000

***

3.
A relaxed structure of Li10ZnP4S16. Source: Materials Project, functional GGA-PBE.

extended XYZ file:
```
62
Lattice="-0.0477 5.5148 -5.6865 8.4759 -6.4608 -6.3369 -0.9787 -12.8504 -12.4542" Properties=species:S:1:pos:R:3 pbc="T T T"
Zn 2.5656 -12.0434 -14.5339
Zn 3.0317 -2.9345 -11.0740
Li 3.8891 -12.7314 -18.0171
Li 2.5533 -9.3336 -17.2840
Li 7.3191 -6.2907 -14.1567
Li 2.1733 -9.2939 -11.7495
Li 2.1645 -6.5004 -14.6653
Li 6.5328 -9.7420 -17.7537
Li 7.3589 -8.9655 -11.4889
Li 0.8550 -8.4778 -8.2762
Li 6.8454 -12.6068 -20.5865
Li 5.6440 -5.2114 -5.2519
Li 6.8512 -15.1916 -17.8310
Li 3.0659 -5.6002 -8.2813
Li 2.6783 -2.8992 -5.5263
Li 2.6385 -0.0705 -8.4077
Li 6.5682 -12.4528 -14.8605
Li 1.2970 3.4150 -7.6870
Li 7.0334 -3.2400 -11.5078
Li 7.0458 -6.0488 -8.7096
Li 5.1082 -6.2722 -17.0104
Li 4.3795 -6.4260 -11.6665
S 4.2954 -3.9316 -7.0230
S 6.0347 -4.6145 -15.4177
S -0.3920 -4.7808 -12.5839
S 1.6886 -4.4975 -9.9497
S 3.2115 -3.2497 -3.1835
S 4.7612 -3.9212 -12.4330
S 5.5919 -16.4113 -16.1060
S 2.6744 -4.1650 -15.0920
S 0.1184 -0.7875 -3.8492
S 1.7964 -1.4088 -12.3587
S 0.5815 -3.9254 -6.1447
S 1.1997 -10.9789 -16.1188
S 5.8365 -7.8643 -13.0213
S 6.8275 -3.7298 -9.2094
S 0.5292 -0.7966 -9.3080
S 2.6246 -0.5726 -6.0568
S 5.3456 -14.1174 -19.4258
S 6.3383 -10.1722 -15.4186
S 3.7776 -10.4451 -13.2318
S 3.7858 -8.0145 -15.6654
S 1.3543 -13.2910 -12.9589
S 0.0659 -10.2337 -12.4294
S 4.3033 -10.2830 -18.7335
S 2.1350 -6.9597 -12.3232
S 7.4650 -6.4621 -6.3987
S 6.9285 -7.4415 -18.2411
S 4.2984 -13.4174 -15.4934
S 4.8204 -7.0634 -9.2010
S 0.0646 -7.1676 -15.6539
S -0.3621 -7.0910 -10.1051
S 0.1075 1.6194 -6.2343
S 4.2458 -1.5740 -9.5269
P -0.1359 -12.1677 -11.9014
P 4.5349 -3.5475 -14.4965
P 0.7865 -5.8289 -11.2633
P 5.4507 -2.6880 -8.1860
P 4.0932 -15.4703 -15.0548
P 4.9615 -9.1290 -14.3968
P 1.2766 0.5101 -4.9474
P 0.3066 -0.3299 -11.2554
```

Output
Calculated formation energy in eV/atom: -1.12
Mass density in Mg/m³: 2.0

***

4.
A relaxed structure of Li4ZnP2S8. Source: Materials Project, functional GGA-PBE.

extended XYZ file:
```
45
Lattice="-5.4597 -2.8525 1.6524 4.1183 -5.9753 3.3949 0.0633 9.1036 16.0113" Properties=species:S:1:pos:R:3 pbc="T T T"
S 1.4591 4.7006 15.7808
S 1.4834 -5.3541 3.7648
S -2.4756 -1.7697 5.4083
S -0.7208 -4.3375 6.8562
S -2.3800 1.2254 14.5497
S -0.8877 -1.9133 1.8667
S -1.1294 4.4330 9.2510
S 1.3970 -1.4772 5.1713
S -0.7117 -2.0076 16.0862
S 1.4040 -2.2042 9.0985
S -0.8470 1.2165 7.1666
S 2.9936 -4.5088 7.2652
S -4.7570 -2.1981 2.0952
S -0.7795 4.2285 12.5055
S -0.6640 -1.3288 12.1849
S -0.6960 1.6900 17.4264
S 1.4232 0.8044 14.4573
S -2.2125 -4.7600 3.9379
S -0.7143 -5.0595 10.7328
S -0.8620 7.5615 14.4976
S -2.4177 -1.8485 9.3446
S 1.4740 1.6539 10.6622
S -2.4248 1.2192 10.6659
S -2.4134 4.3086 15.8767
Li -0.5181 2.0966 9.4226
Li -0.5674 2.5297 19.7116
Li -2.7239 2.6641 12.6511
Li -0.6351 -0.8750 4.0896
Li 1.2856 -3.3352 2.0625
Li -4.5994 -0.9210 4.1993
Li 1.4579 2.2996 16.4119
Li 1.3725 -3.8016 5.6735
Li -2.6790 5.6180 17.9415
Li 1.4120 -0.6951 11.0406
Li -2.7044 -0.3954 7.4222
Li -4.6061 2.1099 9.5578
Zn -0.6708 -0.3690 14.3863
Zn -0.5671 5.2384 14.6474
Zn -0.6739 -3.3773 9.0387
P -2.2530 2.2928 16.3158
P -2.4106 -0.7900 11.1371
P -0.8860 8.5378 16.3295
P 3.0920 -0.3986 14.3563
P -2.4456 -3.7963 5.7553
P 3.0408 -3.4689 9.0403
```

Output
Calculated formation energy in eV/atom: -1.06
Mass density in Mg/m³: 2.2
M_tot in μB per atom: 0.000

***

Offset from the most stable computed form across the listed records, respectively: 0.004, 0.002, 0.002, 0.002 eV/atom.